Li2CrO3 | PBE with a Hubbard U | relaxed

Lattice parameters (Å, degrees): 5.0981 5.1401 8.6341 90.00 90.00 69.41
Atoms (fractional coordinates):
Li  0.0000  0.5000  0.5000
Li  0.5000  0.5000  0.0000
Li  0.0000  0.0000  0.9999
Li  0.5000  0.0000  0.5001
Li  0.0000  0.5000  0.8406
Li  0.5000  0.5000  0.3407
Li  0.0000  0.5000  0.1594
Li  0.5000  0.5000  0.6594
Cr  0.5000  0.0000  0.8288
Cr  0.0000  0.0000  0.6712
Cr  0.0000  0.0000  0.3287
Cr  0.5000  0.0000  0.1713
O  0.2177  0.7735  0.5001
O  0.7177  0.7735  0.9999
O  0.7823  0.2265  0.5001
O  0.2823  0.2265  0.9999
O  0.2502  0.2256  0.3186
O  0.7501  0.2254  0.8185
O  0.2501  0.2254  0.6815
O  0.7502  0.2256  0.1815
O  0.7499  0.7746  0.6815
O  0.2498  0.7744  0.1815
O  0.7498  0.7744  0.3186
O  0.2499  0.7746  0.8185

The energy above the most stable polymorph in this dataset is 7 kJ/mol of formula units.



Li2Cr5O12 | PBE with a Hubbard U | relaxed

Lattice parameters (Å, degrees): 9.0604 9.1077 12.5334 90.00 90.00 90.00
Atoms (fractional coordinates):
Li  0.2728  0.2177  0.1890
Li  0.7728  0.7823  0.1890
Li  0.7728  0.2823  0.3110
Li  0.2728  0.7177  0.3110
Li  0.7272  0.2823  0.6890
Li  0.2272  0.7177  0.6890
Li  0.2272  0.2177  0.8110
Li  0.7272  0.7823  0.8110
Cr  0.2500  0.4627  0.0000
Cr  0.7500  0.5373  0.0000
Cr  0.9668  0.2488  0.1204
Cr  0.4668  0.7512  0.1204
Cr  0.6043  0.0997  0.1424
Cr  0.1043  0.9003  0.1424
Cr  0.1043  0.4003  0.3576
Cr  0.6043  0.5997  0.3576
Cr  0.4668  0.2512  0.3796
Cr  0.9668  0.7488  0.3796
Cr  0.7500  0.0373  0.5000
Cr  0.2500  0.9627  0.5000
Cr  0.0332  0.2512  0.6204
Cr  0.5332  0.7488  0.6204
Cr  0.3957  0.4003  0.6424
Cr  0.8957  0.5997  0.6424
Cr  0.8957  0.0997  0.8576
Cr  0.3957  0.9003  0.8576
Cr  0.5332  0.2488  0.8796
Cr  0.0332  0.7512  0.8796
O  0.5651  0.1459  0.0153
O  0.0651  0.8541  0.0153
O  0.3690  0.5648  0.0656
O  0.8690  0.4352  0.0656
O  0.1626  0.3525  0.0879
O  0.6626  0.6475  0.0879
O  0.1033  0.0884  0.1630
O  0.6033  0.9116  0.1630
O  0.7753  0.1736  0.1747
O  0.2753  0.8264  0.1747
O  0.4754  0.1745  0.2287
O  0.9754  0.8255  0.2287
O  0.9754  0.3255  0.2713
O  0.4754  0.6745  0.2713
O  0.7753  0.6736  0.3253
O  0.2753  0.3264  0.3253
O  0.6033  0.4116  0.3370
O  0.1033  0.5884  0.3370
O  0.6626  0.1475  0.4121
O  0.1626  0.8525  0.4121
O  0.3690  0.0648  0.4344
O  0.8690  0.9352  0.4344
O  0.5651  0.6459  0.4847
O  0.0651  0.3541  0.4847
O  0.4349  0.3541  0.5153
O  0.9349  0.6459  0.5153
O  0.1310  0.0648  0.5656
O  0.6310  0.9352  0.5656
O  0.8374  0.1475  0.5879
O  0.3374  0.8525  0.5879
O  0.8967  0.4116  0.6630
O  0.3967  0.5884  0.6630
O  0.2247  0.3264  0.6747
O  0.7247  0.6736  0.6747
O  0.5246  0.3255  0.7287
O  0.0246  0.6745  0.7287
O  0.0246  0.1745  0.7713
O  0.5246  0.8255  0.7713
O  0.7247  0.1736  0.8253
O  0.2247  0.8264  0.8253
O  0.3967  0.0884  0.8370
O  0.8967  0.9116  0.8370
O  0.3374  0.3525  0.9121
O  0.8374  0.6475  0.9121
O  0.6310  0.4352  0.9344
O  0.1310  0.5648  0.9344
O  0.9349  0.1459  0.9847
O  0.4349  0.8541  0.9847

Its spin magnetization is 32.00 μB/cell. The crystal system is orthorhombic. The value obtained for the electronic total energy is -6.894 eV/atom.



Li2Cr2O7 | PBE with a Hubbard U | relaxed

Lattice parameters (Å, degrees): 7.6670 8.7662 9.7526 76.58 68.85 71.31
Atoms (fractional coordinates):
Li  0.0414  0.2662  0.3590
Li  0.0138  0.0923  0.7232
Li  0.5307  0.2088  0.1799
Li  0.5172  0.6019  0.2161
Li  0.4828  0.3981  0.7839
Li  0.4693  0.7912  0.8201
Li  0.9862  0.9077  0.2768
Li  0.9586  0.7338  0.6410
Cr  0.1739  0.5885  0.0871
Cr  0.2944  0.3800  0.5361
Cr  0.2101  0.1464  0.9878
Cr  0.3188  0.9125  0.4373
Cr  0.6812  0.0875  0.5627
Cr  0.7899  0.8536  0.0122
Cr  0.7056  0.6200  0.4639
Cr  0.8261  0.4115  0.9129
O  0.0870  0.1084  0.1629
O  0.1981  0.4050  0.1757
O  0.1171  0.3031  0.5571
O  0.3334  0.0867  0.3333
O  0.2401  0.6989  0.1642
O  0.0726  0.3274  0.9049
O  0.2455  0.9956  0.8998
O  0.1328  0.8642  0.4303
O  0.2122  0.5498  0.6070
O  0.4112  0.4115  0.3601
O  0.4658  0.2453  0.6285
O  0.4142  0.1812  0.9698
O  0.6846  0.4151  0.0859
O  0.7207  0.0658  0.3921
O  0.2793  0.9342  0.6079
O  0.3154  0.5849  0.9141
O  0.5858  0.8188  0.0302
O  0.5342  0.7547  0.3715
O  0.5888  0.5885  0.6399
O  0.7878  0.4502  0.3930
O  0.8672  0.1358  0.5697
O  0.7545  0.0044  0.1002
O  0.9274  0.6726  0.0951
O  0.7599  0.3011  0.8358
O  0.6666  0.9133  0.6667
O  0.8829  0.6969  0.4429
O  0.8019  0.5950  0.8243
O  0.9130  0.8916  0.8371

The energy above the most stable polymorph in this dataset is 22 kJ/mol of formula units. Its spin magnetization is 0.00 μB/cell. The crystal system is triclinic.



LiCr4O12 | PBE with a Hubbard U | relaxed

Lattice parameters (Å, degrees): 15.6325 15.6325 15.6325 148.28 148.28 45.48
Atoms (fractional coordinates):
Li  0.0000  0.5000  0.5000
Li  0.2500  0.2500  0.0000
Li  0.5000  0.0000  0.5000
Li  0.7500  0.7500  0.0000
Cr  0.0343  0.8206  0.5038
Cr  0.2805  0.2843  0.7138
Cr  0.9695  0.1833  0.5038
Cr  0.5343  0.0305  0.2138
Cr  0.4333  0.7195  0.0038
Cr  0.8167  0.3206  0.7862
Cr  0.6794  0.4657  0.4962
Cr  0.5706  0.5667  0.2862
Cr  0.1794  0.6833  0.2138
Cr  0.0706  0.7843  0.0038
Cr  0.9333  0.9294  0.7138
Cr  0.3167  0.5305  0.4962
Cr  0.2157  0.2195  0.2862
Cr  0.7805  0.0667  0.9962
Cr  0.4695  0.9657  0.7862
Cr  0.7157  0.4294  0.9962
O  0.8663  0.0041  0.2603
O  0.6441  0.9515  0.1670
O  0.9373  0.8750  0.5623
O  0.1441  0.9771  0.6926
O  0.3663  0.1059  0.8622
O  0.1250  0.1873  0.5623
O  0.0485  0.2155  0.6926
O  0.2015  0.3941  0.6670
O  0.3941  0.1337  0.1378
O  0.8559  0.4938  0.2397
O  0.8372  0.3372  0.5000
O  0.5872  0.5872  0.0000
O  0.4128  0.4128  0.0000
O  0.6628  0.1628  0.5000
O  0.2541  0.6163  0.7603
O  0.9959  0.2562  0.8622
O  0.7271  0.5345  0.3330
O  0.5229  0.3559  0.3074
O  0.6250  0.5627  0.4377
O  0.2438  0.5041  0.1378
O  0.0062  0.6441  0.7603
O  0.2845  0.4515  0.3074
O  0.9655  0.7729  0.6670
O  0.3127  0.3750  0.4377
O  0.4373  0.8750  0.0623
O  0.7845  0.4771  0.8330
O  0.4655  0.7985  0.1926
O  0.7438  0.6059  0.7397
O  0.5062  0.7459  0.3622
O  0.1250  0.6873  0.0623
O  0.2271  0.8941  0.1926
O  0.0229  0.7155  0.1670
O  0.7541  0.9938  0.6378
O  0.4959  0.6337  0.7397
O  0.0872  0.0872  0.0000
O  0.9128  0.9128  0.0000
O  0.1628  0.6628  0.5000
O  0.3372  0.8372  0.5000
O  0.8941  0.7562  0.2603
O  0.3559  0.1163  0.3622
O  0.5485  0.8559  0.8330
O  0.7015  0.0345  0.8074
O  0.6250  0.0627  0.9377
O  0.3837  0.1441  0.6378
O  0.6059  0.2729  0.8074
O  0.8127  0.3750  0.9377
O  0.1059  0.2985  0.3330
O  0.8837  0.2459  0.2397

Its spin magnetization is 4.00 μB/cell. The crystal system is tetragonal. The value obtained for the electronic total energy is -6.533 eV/atom.



Li2Cr2O7 | PBE with a Hubbard U | relaxed

Lattice parameters (Å, degrees): 6.4758 7.0859 12.6328 94.81 96.59 90.92
Atoms (fractional coordinates):
Li  0.6525  0.1495  0.8907
Li  0.0676  0.8608  0.8469
Li  0.3006  0.2513  0.6504
Li  0.6446  0.6061  0.6071
Li  0.3554  0.3939  0.3929
Li  0.6994  0.7487  0.3496
Li  0.9324  0.1392  0.1531
Li  0.3475  0.8505  0.1093
Cr  0.1488  0.3187  0.9049
Cr  0.5654  0.7019  0.8789
Cr  0.7773  0.0779  0.6175
Cr  0.1727  0.6910  0.5900
Cr  0.8273  0.3090  0.4100
Cr  0.2227  0.9221  0.3825
Cr  0.4346  0.2981  0.1211
Cr  0.8512  0.6813  0.0951
O  0.7063  0.5713  0.9764
O  0.9645  0.1806  0.9391
O  0.3637  0.8023  0.9282
O  0.3136  0.1938  0.8382
O  0.0498  0.4875  0.8389
O  0.7231  0.8685  0.8484
O  0.4987  0.5521  0.7765
O  0.9506  0.0387  0.7163
O  0.5943  0.2075  0.6635
O  0.9687  0.6195  0.6420
O  0.3010  0.8536  0.6693
O  0.3282  0.5100  0.5647
O  0.9164  0.2108  0.5320
O  0.6800  0.8782  0.5562
O  0.3200  0.1218  0.4438
O  0.0836  0.7892  0.4680
O  0.6718  0.4900  0.4353
O  0.6990  0.1464  0.3307
O  0.0313  0.3805  0.3580
O  0.4057  0.7925  0.3365
O  0.0494  0.9613  0.2837
O  0.5013  0.4479  0.2235
O  0.2769  0.1315  0.1516
O  0.9502  0.5125  0.1611
O  0.6864  0.8062  0.1618
O  0.6363  0.1977  0.0718
O  0.0355  0.8194  0.0609
O  0.2937  0.4287  0.0236

The energy above the most stable polymorph in this dataset is 65 kJ/mol of formula units. Its spin magnetization is 0.00 μB/cell. The crystal system is triclinic.



Li2Cr2O9 | PBE with a Hubbard U | relaxed

Lattice parameters (Å, degrees): 7.6141 7.6141 6.8926 87.20 87.20 65.70
Atoms (fractional coordinates):
Li  0.4113  0.3707  0.6149
Li  0.6293  0.5887  0.8851
Li  0.5887  0.6293  0.3851
Li  0.3707  0.4113  0.1149
Cr  0.7015  0.1040  0.1344
Cr  0.8960  0.2985  0.3656
Cr  0.2985  0.8960  0.8656
Cr  0.1040  0.7015  0.6344
O  0.6302  0.2784  0.9632
O  0.7216  0.3698  0.5368
O  0.3698  0.7216  0.0368
O  0.2784  0.6302  0.4632
O  0.7308  0.8994  0.0537
O  0.1006  0.2692  0.4463
O  0.2692  0.1006  0.9463
O  0.8994  0.7308  0.5537
O  0.5211  0.1808  0.2988
O  0.8192  0.4789  0.2012
O  0.4789  0.8192  0.7012
O  0.1808  0.5211  0.7988
O  0.9142  0.0858  0.2500
O  0.0858  0.9142  0.7500
O  0.5969  0.1039  0.6059
O  0.8961  0.4031  0.8941
O  0.4031  0.8961  0.3941
O  0.1039  0.5969  0.1059

The energy above the most stable polymorph in this dataset is 0 kJ/mol of formula units. Its spin magnetization is 8.00 μB/cell. The crystal system is monoclinic.



Li9Cr19O48 | PBE with a Hubbard U | relaxed

Lattice parameters (Å, degrees): 5.0542 10.1881 17.2668 90.39 90.38 90.02
Atoms (fractional coordinates):
Li  0.0913  0.7496  0.7506
Li  0.2504  0.5792  0.0258
Li  0.2508  0.4249  0.5312
Li  0.2509  0.0755  0.5322
Li  0.2513  0.7472  0.1954
Li  0.7465  0.2523  0.8043
Li  0.7486  0.0817  0.9716
Li  0.7612  0.7481  0.3009
Li  0.9062  0.2512  0.2488
Cr  0.2236  0.2514  0.0564
Cr  0.2284  0.9710  0.3454
Cr  0.2285  0.5293  0.3460
Cr  0.2544  0.2577  0.6977
Cr  0.2519  0.9303  0.0232
Cr  0.2858  0.4732  0.8448
Cr  0.2771  0.0254  0.8442
Cr  0.2890  0.7506  0.5575
Cr  0.4056  0.2506  0.2472
Cr  0.5922  0.7487  0.7522
Cr  0.7180  0.2497  0.4417
Cr  0.7223  0.5255  0.1561
Cr  0.7210  0.9732  0.1535
Cr  0.7582  0.9268  0.4781
Cr  0.7577  0.5732  0.4782
Cr  0.7511  0.4303  0.9731
Cr  0.7775  0.4725  0.6566
Cr  0.7764  0.0290  0.6575
Cr  0.7791  0.7502  0.9437
O  0.0537  0.7602  0.0059
O  0.0541  0.3822  0.6303
O  0.0544  0.1184  0.6332
O  0.1093  0.3685  0.7826
O  0.0881  0.1195  0.7890
O  0.0891  0.8838  0.5323
O  0.0890  0.6165  0.5324
O  0.0921  0.9905  0.9237
O  0.0753  0.5014  0.9219
O  0.1706  0.2503  0.1574
O  0.1712  0.3853  0.2984
O  0.1710  0.1141  0.2982
O  0.3512  0.8852  0.7960
O  0.3493  0.6167  0.7961
O  0.3479  0.7505  0.6541
O  0.4212  0.5019  0.4234
O  0.4218  0.9977  0.4230
O  0.4028  0.1107  0.0343
O  0.4272  0.3805  0.0340
O  0.3979  0.8746  0.2893
O  0.4005  0.6257  0.2915
O  0.4431  0.8911  0.1251
O  0.4551  0.6074  0.1312
O  0.4563  0.2502  0.4975
O  0.5750  0.7500  0.4914
O  0.5603  0.3834  0.8767
O  0.5443  0.1060  0.8696
O  0.5668  0.3757  0.7090
O  0.5615  0.1296  0.7075
O  0.5726  0.8804  0.9668
O  0.5974  0.6106  0.9657
O  0.5958  0.9901  0.5726
O  0.5950  0.5109  0.5727
O  0.6395  0.2490  0.3463
O  0.6462  0.3850  0.2055
O  0.6467  0.1136  0.2023
O  0.8266  0.8839  0.7057
O  0.8313  0.6177  0.7051
O  0.8268  0.7505  0.8443
O  0.9052  0.4905  0.0773
O  0.9170  0.0045  0.0780
O  0.9012  0.3838  0.4626
O  0.9014  0.1162  0.4628
O  0.8940  0.8781  0.2099
O  0.9099  0.6199  0.2111
O  0.9452  0.8940  0.3731
O  0.9447  0.6060  0.3741
O  0.9485  0.2594  0.9953

The energy above the most stable polymorph in this dataset is 78 kJ/mol of formula units. Its spin magnetization is 27.00 μB/cell. The crystal system is triclinic.



Li2CrO3 | PBE with a Hubbard U | relaxed

Lattice parameters (Å, degrees): 5.0237 5.0237 4.9994 79.26 79.26 118.27
Atoms (fractional coordinates):
Li  0.7535  0.2631  0.4912
Li  0.4320  0.5966  0.4957
Li  0.5966  0.4320  0.9957
Li  0.2631  0.7535  0.9912
Cr  0.0918  0.9098  0.5036
Cr  0.9098  0.0918  0.0036
O  0.7105  0.8621  0.7521
O  0.8621  0.7105  0.2521
O  0.0118  0.5195  0.7310
O  0.2962  0.1554  0.7242
O  0.5195  0.0118  0.2310
O  0.1554  0.2962  0.2242

The energy above the most stable polymorph in this dataset is 27 kJ/mol of formula units. Its spin magnetization is 4.00 μB/cell. The crystal system is monoclinic. The piezoelectric modulus e_max is 2.52 C/m2.